Entry 1:
Density functional theory data (PBE+U) for crystalline RbNa2NiO2 at its relaxed geometry.

Cell and atoms, written as POSCAR:
```
RbNa2NiO2
1.0
-5.291 -1.669 1.895
-3.066 4.510 2.153
2.929 -0.845 -5.008
Rb Na Ni O
1 2 1 2
Direct
0.000 0.000 0.000
0.250 0.750 0.500
0.750 0.250 0.500
0.500 0.500 0.000
0.683 0.683 0.000
0.317 0.317 0.000
```

Calculated values
Crystal system: tetragonal
Electronic total energy, eV per atom: -3.56
Volume, Å³/cell: 105
Energy of formation, eV per atom: -0.99



Entry 2:
Density functional theory data (PBE+U) for crystalline Na2NiS2O12 at its relaxed geometry.

Cell and atoms, written as POSCAR:
```
Na2NiS2O12
1.0
5.396 0.000 -0.848
0.000 8.211 0.000
0.364 0.000 11.130
Na Ni S O
4 2 4 24
Direct
0.106 0.066 0.360
0.894 0.934 0.640
0.894 0.566 0.140
0.106 0.434 0.860
0.000 0.000 0.000
0.000 0.500 0.500
0.377 0.287 0.138
0.623 0.713 0.862
0.623 0.787 0.362
0.377 0.213 0.638
0.328 0.270 0.266
0.672 0.730 0.734
0.672 0.770 0.234
0.328 0.230 0.766
0.121 0.823 0.082
0.879 0.177 0.918
0.879 0.323 0.418
0.121 0.677 0.582
0.218 0.414 0.075
0.782 0.586 0.925
0.782 0.914 0.425
0.218 0.086 0.575
0.640 0.331 0.138
0.360 0.669 0.862
0.360 0.831 0.362
0.640 0.169 0.638
0.336 0.126 0.076
0.664 0.874 0.924
0.664 0.626 0.424
0.336 0.374 0.576
0.081 0.509 0.347
0.919 0.491 0.653
0.919 0.009 0.153
0.081 0.991 0.847
```

Calculated values
Crystal system: monoclinic
Electronic total energy, eV per atom: -4.98
Volume, Å³/cell: 496
Energy of formation, eV per atom: -1.14



Entry 3:
Density functional theory data (PBE+U) for crystalline Na5NiSO2 at its relaxed geometry.

Cell and atoms, written as POSCAR:
```
Na5NiSO2
1.0
4.580 0.000 0.000
0.000 4.580 0.000
0.000 0.000 8.180
Na Ni S O
5 1 1 2
Direct
0.000 0.500 0.259
0.500 0.000 0.259
0.000 0.500 0.741
0.500 0.000 0.741
0.000 0.000 0.500
0.000 0.000 0.000
0.500 0.500 0.500
0.000 0.000 0.780
0.000 0.000 0.220
```

Calculated values
Crystal system: tetragonal
Electronic total energy, eV per atom: -3.54
Volume, Å³/cell: 172
Energy of formation, eV per atom: -1.09



Entry 4:
Density functional theory data (PBE+U) for crystalline Na4Ni3Sb2O10 at its relaxed geometry.

Cell and atoms, written as POSCAR:
```
Na4Ni3Sb2O10
1.0
3.109 3.282 -2.800
-5.901 6.759 3.238
6.434 -1.903 6.780
Na Ni Sb O
8 6 4 20
Direct
0.750 0.445 0.055
0.250 0.945 0.555
0.750 0.255 0.245
0.250 0.755 0.745
0.250 0.548 0.952
0.750 0.048 0.452
0.750 0.652 0.848
0.250 0.152 0.348
0.000 0.600 0.400
0.000 0.800 0.200
0.500 0.900 0.100
0.500 0.100 0.900
0.500 0.300 0.700
0.000 0.400 0.600
0.500 0.497 0.503
0.000 0.997 0.003
0.500 0.703 0.297
0.000 0.203 0.797
0.877 0.197 0.997
0.377 0.697 0.497
0.623 0.503 0.303
0.123 0.003 0.803
0.355 0.298 0.895
0.855 0.798 0.395
0.855 0.595 0.598
0.355 0.095 0.098
0.645 0.902 0.905
0.145 0.402 0.405
0.145 0.605 0.202
0.645 0.105 0.702
0.876 0.399 0.810
0.376 0.899 0.310
0.376 0.510 0.699
0.876 0.010 0.199
0.624 0.690 0.101
0.124 0.190 0.601
0.124 0.801 0.990
0.624 0.301 0.490
```

Calculated values
Electronic total energy, eV per atom: -5.25
Volume, Å³/cell: 452
Energy of formation, eV per atom: -1.79



Entry 5:
Density functional theory data (PBE+U) for crystalline Na3Ni2SbO6 at its relaxed geometry.

Cell and atoms, written as POSCAR:
```
Na3Ni2SbO6
1.0
-1.201 4.910 -1.796
-6.189 0.999 6.860
5.069 1.113 2.319
Na Ni Sb O
6 4 2 12
Direct
0.250 0.250 0.500
0.750 0.750 0.500
0.762 0.413 0.500
0.262 0.913 0.500
0.738 0.087 0.500
0.238 0.587 0.500
0.501 0.833 0.000
0.999 0.667 0.000
0.001 0.333 0.000
0.499 0.167 0.000
0.000 0.000 0.000
0.500 0.500 0.000
0.125 0.125 0.796
0.625 0.625 0.796
0.375 0.375 0.204
0.875 0.875 0.204
0.875 0.193 0.204
0.375 0.693 0.204
0.352 0.034 0.204
0.852 0.534 0.204
0.148 0.466 0.796
0.648 0.966 0.796
0.625 0.307 0.796
0.125 0.807 0.796
```

Calculated values
Electronic total energy, eV per atom: -5.13
Volume, Å³/cell: 269
Energy of formation, eV per atom: -1.79



Entry 6:
Density functional theory data (PBE+U) for crystalline NaSmNi4O12 at its relaxed geometry.

Cell and atoms, written as POSCAR:
```
NaSmNi4O12
1.0
5.358 0.000 0.000
0.000 5.358 0.000
0.000 0.000 7.653
Na Sm Ni O
1 1 4 12
Direct
0.500 0.500 0.000
0.000 0.000 0.500
0.000 0.500 0.754
0.000 0.500 0.246
0.500 0.000 0.754
0.500 0.000 0.246
0.235 0.235 0.732
0.235 0.235 0.268
0.765 0.765 0.732
0.765 0.765 0.268
0.765 0.235 0.732
0.765 0.235 0.268
0.235 0.765 0.268
0.235 0.765 0.732
0.000 0.500 0.500
0.000 0.500 0.000
0.500 0.000 0.500
0.500 0.000 0.000
```

Calculated values
Crystal system: tetragonal
Electronic total energy, eV per atom: -4.71
Volume, Å³/cell: 220
Energy of formation, eV per atom: -0.81



Entry 7:
Density functional theory data (PBE+U) for crystalline Na2TiNiO4 at its relaxed geometry.

Cell and atoms, written as POSCAR:
```
Na2TiNiO4
1.0
1.382 -2.655 0.541
3.956 1.276 -3.843
3.874 3.800 8.748
Na Ti Ni O
4 2 2 8
Direct
0.000 0.000 0.000
0.000 0.500 0.500
0.500 0.250 0.250
0.500 0.750 0.750
0.500 0.500 0.000
0.500 0.000 0.500
0.000 0.250 0.750
0.000 0.750 0.250
0.500 0.821 0.123
0.500 0.321 0.623
0.500 0.679 0.377
0.500 0.179 0.877
0.000 0.095 0.391
0.000 0.595 0.891
0.000 0.405 0.109
0.000 0.905 0.609
```

Calculated values
Electronic total energy, eV per atom: -6.21
Volume, Å³/cell: 172
Energy of formation, eV per atom: -2.35



Entry 8:
Density functional theory data (PBE+U) for crystalline Na2TbPWO8 at its relaxed geometry.

Cell and atoms, written as POSCAR:
```
Na2TbPWO8
1.0
-4.778 0.115 10.519
-5.188 10.301 0.688
-0.003 -10.231 -5.370
Na Tb P W O
8 4 4 4 32
Direct
0.289 0.335 0.931
0.904 0.358 0.569
0.596 0.165 0.454
0.211 0.142 0.046
0.711 0.665 0.069
0.096 0.642 0.431
0.404 0.835 0.546
0.789 0.858 0.954
0.323 0.750 0.073
0.177 0.250 0.427
0.677 0.250 0.927
0.823 0.750 0.573
0.930 0.250 0.180
0.570 0.750 0.320
0.070 0.750 0.820
0.430 0.250 0.680
0.929 0.179 0.750
0.571 0.321 0.250
0.071 0.821 0.250
0.429 0.679 0.750
0.938 0.198 0.272
0.427 0.666 0.228
0.073 0.302 0.239
0.562 0.834 0.261
0.062 0.802 0.728
0.573 0.334 0.772
0.927 0.698 0.761
0.438 0.166 0.739
0.843 0.068 0.928
0.640 0.915 0.572
0.860 0.432 0.275
0.657 0.585 0.225
0.157 0.932 0.072
0.360 0.085 0.428
0.140 0.568 0.725
0.343 0.415 0.775
0.845 0.330 0.933
0.897 0.912 0.567
0.603 0.170 0.015
0.655 0.588 0.485
0.155 0.670 0.067
0.103 0.088 0.433
0.397 0.830 0.985
0.345 0.412 0.515
0.864 0.188 0.585
0.103 0.279 0.915
0.397 0.312 0.176
0.636 0.221 0.324
0.136 0.812 0.415
0.897 0.721 0.085
0.603 0.688 0.824
0.364 0.779 0.676
```

Calculated values
Crystal system: orthorhombic
Electronic total energy, eV per atom: -7.06
Volume, Å³/cell: 786
Energy of formation, eV per atom: -2.80



Entry 9:
Density functional theory data (PBE+U) for crystalline Na2TmPWO8 at its relaxed geometry.

Cell and atoms, written as POSCAR:
```
Na2TmPWO8
1.0
-3.431 6.080 9.121
3.431 -6.080 9.121
3.431 6.080 -9.121
Na Tm P W O
8 4 4 4 32
Direct
0.284 0.336 0.927
0.910 0.358 0.573
0.590 0.164 0.448
0.216 0.142 0.052
0.716 0.664 0.073
0.090 0.642 0.427
0.410 0.836 0.552
0.784 0.858 0.948
0.322 0.750 0.072
0.178 0.250 0.428
0.678 0.250 0.928
0.822 0.750 0.572
0.931 0.250 0.181
0.569 0.750 0.319
0.069 0.750 0.819
0.431 0.250 0.681
0.926 0.176 0.750
0.574 0.324 0.250
0.074 0.824 0.250
0.426 0.676 0.750
0.940 0.195 0.270
0.425 0.670 0.230
0.075 0.305 0.245
0.560 0.830 0.255
0.060 0.805 0.730
0.575 0.330 0.770
0.925 0.695 0.755
0.440 0.170 0.745
0.843 0.066 0.924
0.642 0.918 0.576
0.858 0.434 0.277
0.657 0.582 0.223
0.157 0.934 0.076
0.358 0.082 0.424
0.142 0.566 0.723
0.343 0.418 0.777
0.844 0.334 0.939
0.894 0.904 0.561
0.606 0.166 0.010
0.656 0.596 0.490
0.156 0.666 0.061
0.106 0.096 0.439
0.394 0.834 0.990
0.344 0.404 0.510
0.862 0.187 0.585
0.102 0.277 0.915
0.398 0.313 0.175
0.638 0.223 0.325
0.138 0.813 0.415
0.898 0.723 0.085
0.602 0.687 0.825
0.362 0.777 0.675
```

Calculated values
Crystal system: orthorhombic
Electronic total energy, eV per atom: -7.06
Volume, Å³/cell: 761
Energy of formation, eV per atom: -2.81



Entry 10:
Density functional theory data (PBE+U) for crystalline Na2VPO6 at its relaxed geometry.

Cell and atoms, written as POSCAR:
```
Na2VPO6
1.0
-4.521 1.126 1.613
-3.410 -2.098 -8.091
-1.475 -10.841 3.433
Na V P O
8 4 4 24
Direct
0.014 0.323 0.081
0.539 0.622 0.127
0.039 0.122 0.373
0.514 0.823 0.419
0.486 0.323 0.581
0.961 0.622 0.627
0.461 0.122 0.873
0.986 0.823 0.919
0.473 0.001 0.125
0.973 0.501 0.375
0.027 0.001 0.625
0.527 0.501 0.875
0.086 0.807 0.221
0.586 0.307 0.279
0.414 0.807 0.721
0.914 0.307 0.779
0.318 0.471 0.987
0.251 0.115 0.064
0.234 0.813 0.098
0.747 0.434 0.217
0.780 0.827 0.219
0.662 0.153 0.223
0.162 0.653 0.277
0.280 0.327 0.281
0.247 0.934 0.283
0.734 0.313 0.402
0.751 0.615 0.436
0.818 0.971 0.513
0.182 0.471 0.487
0.249 0.115 0.564
0.266 0.813 0.598
0.753 0.434 0.717
0.720 0.827 0.719
0.838 0.153 0.723
0.338 0.653 0.777
0.220 0.327 0.781
0.253 0.934 0.783
0.766 0.313 0.902
0.749 0.615 0.936
0.682 0.971 0.013
```

Calculated values
Crystal system: orthorhombic
Electronic total energy, eV per atom: -6.60
Volume, Å³/cell: 510
Energy of formation, eV per atom: -2.50
Energy relative to the lowest polymorph listed for this composition, eV/atom: 0.021



Entry 11:
Density functional theory data (PBE+U) for crystalline Na3VP2O9 at its relaxed geometry.

Cell and atoms, written as POSCAR:
```
Na3VP2O9
1.0
3.491 7.967 0.000
-3.491 7.967 0.000
0.000 0.534 7.403
Na V P O
6 2 4 18
Direct
0.779 0.221 0.000
0.221 0.779 0.000
0.606 0.606 0.300
0.394 0.394 0.700
0.000 0.500 0.500
0.500 0.000 0.500
0.000 0.500 0.000
0.500 0.000 0.000
0.381 0.381 0.227
0.619 0.619 0.773
0.128 0.128 0.288
0.872 0.872 0.712
0.476 0.476 0.204
0.524 0.524 0.796
0.342 0.342 0.420
0.658 0.658 0.580
0.168 0.530 0.121
0.530 0.168 0.121
0.832 0.470 0.879
0.470 0.832 0.879
0.995 0.366 0.211
0.366 0.995 0.211
0.005 0.634 0.789
0.634 0.005 0.789
0.044 0.044 0.205
0.956 0.956 0.795
0.136 0.136 0.489
0.864 0.864 0.511
0.245 0.245 0.920
0.755 0.755 0.080
```

Calculated values
Crystal system: monoclinic
Electronic total energy, eV per atom: -6.57
Volume, Å³/cell: 412
Energy of formation, eV per atom: -2.53
Energy relative to the lowest polymorph listed for this composition, eV/atom: 0.000